Here is CaCo6O2F10 after structural relaxation from the Materials Project database. Energies are from PBE+U.

Geometry as extended XYZ:
```
19
Lattice="5.381 0.000 0.000 1.304 5.308 0.000 0.155 1.198 9.188" Properties=species:S:1:pos:R:3 pbc="T T T"
Ca 0.000 0.000 0.000
Co 0.895 0.789 5.397
Co 1.763 1.796 2.820
Co 2.674 1.788 7.353
Co 4.624 4.221 3.782
Co 4.479 3.167 0.747
Co 5.155 3.621 6.728
O 0.757 1.949 7.026
O 3.332 5.603 3.906
F 0.554 1.774 1.235
F 3.426 4.760 0.106
F 3.305 2.947 2.381
F 3.796 5.208 6.708
F 3.566 2.713 5.851
F 3.882 2.785 8.695
F 5.576 4.485 1.910
F 5.892 4.684 8.342
F 6.033 4.782 5.250
F 5.647 2.459 3.997
```

Calculated values
As for the total energy: -5.2618 eV/atom. For the offset from the most stable computed form, the calculation gives 0.00 eV/f.u.